Record 1
Density functional theory data (r2SCAN) for a geometry-optimized Zr4GeSb7 structure.

```
data_Zr4GeSb7
_chemical_formula_sum 'Zr4 Ge1 Sb7'
_space_group_name_H-M_alt 'P 1 m 1'
_space_group_IT_number 6
_space_group_name_Hall 'P -2y'
_cell_length_a 7.3301
_cell_length_b 3.9884
_cell_length_c 9.6620
_cell_angle_alpha 90.00
_cell_angle_beta 90.43
_cell_angle_gamma 90.00
loop_
_atom_site_label
_atom_site_type_symbol
_atom_site_fract_x
_atom_site_fract_y
_atom_site_fract_z
Zr1 Zr 0.0000 0.0000 0.0000
Zr2 Zr 0.0176 0.5000 0.5051
Zr3 Zr 0.5005 0.0000 0.8233
Zr4 Zr 0.5241 0.5000 0.3339
Ge1 Ge 0.6278 0.5000 0.6207
Sb1 Sb 0.1294 0.5000 0.2111
Sb2 Sb 0.1862 0.5000 0.8094
Sb3 Sb 0.3417 0.0000 0.5245
Sb4 Sb 0.3943 0.0000 0.1206
Sb5 Sb 0.6901 0.5000 0.0149
Sb6 Sb 0.8313 0.0000 0.3152
Sb7 Sb 0.8721 0.0000 0.7032
```



Record 2
Density functional theory data (r2SCAN) for a geometry-optimized Sc5Ge3 structure.

```
data_Sc5Ge3
_chemical_formula_sum 'Sc10 Ge6'
_space_group_name_H-M_alt 'P 63/m c m'
_space_group_IT_number 193
_space_group_name_Hall '-P 6c 2'
_cell_length_a 7.9430
_cell_length_b 7.9430
_cell_length_c 5.9124
_cell_angle_alpha 90.00
_cell_angle_beta 90.00
_cell_angle_gamma 120.00
loop_
_atom_site_label
_atom_site_type_symbol
_atom_site_fract_x
_atom_site_fract_y
_atom_site_fract_z
Sc1 Sc 0.0000 0.2408 0.2500
Sc2 Sc 0.3333 0.6667 0.0000
Ge1 Ge 0.0000 0.3933 0.7500
```



Record 3
Density functional theory data (r2SCAN) for a geometry-optimized SnGeSe2 structure.

```
data_SnGeSe2
_chemical_formula_sum 'Sn2 Ge2 Se4'
_space_group_name_H-M_alt 'P m c 21'
_space_group_IT_number 26
_space_group_name_Hall 'P 2c -2'
_cell_length_a 3.9596
_cell_length_b 4.6770
_cell_length_c 11.3708
_cell_angle_alpha 90.00
_cell_angle_beta 90.00
_cell_angle_gamma 90.00
loop_
_atom_site_label
_atom_site_type_symbol
_atom_site_fract_x
_atom_site_fract_y
_atom_site_fract_z
Sn1 Sn 0.0000 0.1339 0.0000
Ge1 Ge 0.5000 0.3771 0.2441
Se1 Se 0.0000 0.2664 0.7603
Se2 Se 0.5000 0.2641 0.4622
```



Record 4
Density functional theory data (r2SCAN) for a geometry-optimized SnGe4Te4Se structure.

```
data_SnGe4Te4Se
_chemical_formula_sum 'Sn3 Ge12 Te12 Se3'
_space_group_name_H-M_alt 'R 3 m'
_space_group_IT_number 160
_space_group_name_Hall 'R 3 -2"'
_cell_length_a 4.1941
_cell_length_b 4.1941
_cell_length_c 55.2006
_cell_angle_alpha 90.00
_cell_angle_beta 90.00
_cell_angle_gamma 120.00
loop_
_atom_site_label
_atom_site_type_symbol
_atom_site_fract_x
_atom_site_fract_y
_atom_site_fract_z
Sn1 Sn 0.0000 0.0000 0.0000
Ge1 Ge 0.0000 0.0000 0.2033
Ge2 Ge 0.0000 0.0000 0.4041
Ge3 Ge 0.0000 0.0000 0.6029
Ge4 Ge 0.0000 0.0000 0.8038
Te1 Te 0.0000 0.0000 0.1109
Te2 Te 0.0000 0.0000 0.5104
Te3 Te 0.0000 0.0000 0.7113
Te4 Te 0.0000 0.0000 0.9100
Se1 Se 0.0000 0.0000 0.3075
```



Record 5
Density functional theory data (r2SCAN) for a geometry-optimized Tl2GeSe3 structure.

```
data_Tl2GeSe3
_chemical_formula_sum 'Tl4 Ge2 Se6'
_space_group_name_H-M_alt 'P -1'
_space_group_IT_number 2
_space_group_name_Hall '-P 1'
_cell_length_a 7.0127
_cell_length_b 7.0662
_cell_length_c 8.8339
_cell_angle_alpha 90.34
_cell_angle_beta 111.23
_cell_angle_gamma 114.18
loop_
_atom_site_label
_atom_site_type_symbol
_atom_site_fract_x
_atom_site_fract_y
_atom_site_fract_z
Tl1 Tl 0.1206 0.4457 0.3304
Tl2 Tl 0.2612 0.1751 0.8948
Ge1 Ge 0.4311 0.0476 0.3145
Se1 Se 0.2251 0.9588 0.4922
Se2 Se 0.2427 0.7814 0.0851
Se3 Se 0.4889 0.6115 0.7362
```



Record 6
Density functional theory data (r2SCAN) for a geometry-optimized UGeSe structure.

```
data_UGeSe
_chemical_formula_sum 'U4 Ge4 Se4'
_space_group_name_H-M_alt 'I 4/m m m'
_space_group_IT_number 139
_space_group_name_Hall '-I 4 2'
_cell_length_a 3.9404
_cell_length_b 3.9404
_cell_length_c 17.4456
_cell_angle_alpha 90.00
_cell_angle_beta 90.00
_cell_angle_gamma 90.00
loop_
_atom_site_label
_atom_site_type_symbol
_atom_site_fract_x
_atom_site_fract_y
_atom_site_fract_z
U1 U 0.0000 0.0000 0.1332
Ge1 Ge 0.0000 0.5000 0.0000
Se1 Se 0.0000 0.0000 0.3120
```



Record 7
Density functional theory data (r2SCAN) for a geometry-optimized Si7Ge structure.

```
data_Si7Ge
_chemical_formula_sum 'Si7 Ge1'
_space_group_name_H-M_alt 'P -4 3 m'
_space_group_IT_number 215
_space_group_name_Hall 'P -4 2 3'
_cell_length_a 5.4654
_cell_length_b 5.4654
_cell_length_c 5.4654
_cell_angle_alpha 90.00
_cell_angle_beta 90.00
_cell_angle_gamma 90.00
loop_
_atom_site_label
_atom_site_type_symbol
_atom_site_fract_x
_atom_site_fract_y
_atom_site_fract_z
Si1 Si 0.0000 0.0000 0.5000
Si2 Si 0.2474 0.2474 0.7526
Ge1 Ge 0.5000 0.5000 0.5000
```



Record 8
Density functional theory data (r2SCAN) for a geometry-optimized Tb2SiGe structure.

```
data_Tb2SiGe
_chemical_formula_sum 'Tb4 Si2 Ge2'
_space_group_name_H-M_alt 'A m m 2'
_space_group_IT_number 38
_space_group_name_Hall 'A 2 -2'
_cell_length_a 3.8955
_cell_length_b 4.3004
_cell_length_c 10.6528
_cell_angle_alpha 90.00
_cell_angle_beta 90.00
_cell_angle_gamma 90.00
loop_
_atom_site_label
_atom_site_type_symbol
_atom_site_fract_x
_atom_site_fract_y
_atom_site_fract_z
Tb1 Tb 0.0000 0.0000 0.0000
Tb2 Tb 0.5000 0.0000 0.2795
Si1 Si 0.5000 0.0000 0.5588
Ge1 Ge 0.0000 0.0000 0.7186
```



Record 9
Density functional theory data (r2SCAN) for a geometry-optimized Th3SiGe structure.

```
data_Th3SiGe
_chemical_formula_sum 'Th12 Si4 Ge4'
_space_group_name_H-M_alt 'C m m m'
_space_group_IT_number 65
_space_group_name_Hall '-C 2 2'
_cell_length_a 11.1747
_cell_length_b 11.2382
_cell_length_c 4.1628
_cell_angle_alpha 90.00
_cell_angle_beta 90.00
_cell_angle_gamma 90.00
loop_
_atom_site_label
_atom_site_type_symbol
_atom_site_fract_x
_atom_site_fract_y
_atom_site_fract_z
Th1 Th 0.0000 0.1773 0.0000
Th2 Th 0.1827 0.5000 0.0000
Th3 Th 0.2500 0.2500 0.5000
Si1 Si 0.1134 0.0000 0.5000
Ge1 Ge 0.0000 0.3820 0.5000
```



Record 10
Density functional theory data (r2SCAN) for a geometry-optimized V6SiGe structure.

```
data_V6SiGe
_chemical_formula_sum 'V6 Si1 Ge1'
_space_group_name_H-M_alt 'P m -3'
_space_group_IT_number 200
_space_group_name_Hall '-P 2 2 3'
_cell_length_a 4.7104
_cell_length_b 4.7104
_cell_length_c 4.7104
_cell_angle_alpha 90.00
_cell_angle_beta 90.00
_cell_angle_gamma 90.00
loop_
_atom_site_label
_atom_site_type_symbol
_atom_site_fract_x
_atom_site_fract_y
_atom_site_fract_z
V1 V 0.0000 0.2559 0.5000
Si1 Si 0.5000 0.5000 0.5000
Ge1 Ge 0.0000 0.0000 0.0000
```



Record 11
Density functional theory data (r2SCAN) for a geometry-optimized V10Si3Ge3 structure.

```
data_V10Si3Ge3
_chemical_formula_sum 'V40 Si12 Ge12'
_space_group_name_H-M_alt 'F m m 2'
_space_group_IT_number 42
_space_group_name_Hall 'F 2 -2'
_cell_length_a 4.7759
_cell_length_b 13.3123
_cell_length_c 13.3684
_cell_angle_alpha 90.00
_cell_angle_beta 90.00
_cell_angle_gamma 90.00
loop_
_atom_site_label
_atom_site_type_symbol
_atom_site_fract_x
_atom_site_fract_y
_atom_site_fract_z
V1 V 0.0000 0.0977 0.0000
V2 V 0.0000 0.0979 0.3434
V3 V 0.0000 0.1734 0.5740
V4 V 0.0000 0.1750 0.7670
V5 V 0.2480 0.0000 0.1687
Si1 Si 0.0000 0.0000 0.5050
Si2 Si 0.0000 0.1654 0.1711
Ge1 Ge 0.0000 0.0000 0.8364
Ge2 Ge 0.2500 0.2500 0.4208
```



Record 12
Density functional theory data (r2SCAN) for a geometry-optimized Y10Si3Ge3 structure.

```
data_Y10Si3Ge3
_chemical_formula_sum 'Y10 Si3 Ge3'
_space_group_name_H-M_alt 'P -6 2 m'
_space_group_IT_number 189
_space_group_name_Hall 'P -6 -2'
_cell_length_a 8.4772
_cell_length_b 8.4772
_cell_length_c 6.4134
_cell_angle_alpha 90.00
_cell_angle_beta 90.00
_cell_angle_gamma 120.00
loop_
_atom_site_label
_atom_site_type_symbol
_atom_site_fract_x
_atom_site_fract_y
_atom_site_fract_z
Y1 Y 0.0000 0.2430 0.0000
Y2 Y 0.0000 0.7566 0.5000
Y3 Y 0.3333 0.6667 0.2479
Si1 Si 0.0000 0.6066 0.0000
Ge1 Ge 0.0000 0.3934 0.5000
```



no.,magnetic moment (μB/atom),total DFT energy (no corrections) (eV per atom)
1,0.000,-24.372
2,0.000,-13.235
3,0.000,-17.131
4,0.000,-19.728
5,0.000,-27.646
6,0.763,-37.126
7,0.000,-9.408
8,0.000,-22.210
9,0.000,-49.335
10,0.186,-13.837
11,0.000,-13.543
12,0.000,-17.798